Computed, not measured: an optimized crystal structure of NdSbTe at the PBE-GGA level of DFT.

The structure in POSCAR format:
```
NdSbTe
1.0
-4.295 -0.728 -0.138
0.605 -2.980 -3.123
0.938 -6.794 6.663
Te Sb Nd
2 2 2
Direct
0.500 0.000 0.624
0.000 0.500 0.376
0.000 0.000 0.000
0.500 0.500 0.000
0.000 0.500 0.724
0.500 0.000 0.276
```

Calculated values
The value obtained for the formation energy from the elements is -1320 meV per atom. Its space group is P4/nmm.



Computed, not measured: an optimized crystal structure of Nd3TiSb5 at the PBE-GGA level of DFT.

The structure in POSCAR format:
```
Nd3TiSb5
1.0
-3.425 7.140 -5.149
1.389 -8.452 -3.981
-5.858 -1.693 1.549
Nd Sb Ti
6 10 2
Direct
0.000 0.618 0.750
0.618 0.618 0.250
0.382 0.000 0.250
0.382 0.382 0.750
0.000 0.382 0.250
0.618 0.000 0.750
0.667 0.333 0.000
0.333 0.667 0.000
0.333 0.667 0.500
0.000 0.254 0.750
0.667 0.333 0.500
0.000 0.746 0.250
0.254 0.254 0.250
0.254 0.000 0.750
0.746 0.000 0.250
0.746 0.746 0.750
0.000 0.000 0.500
0.000 0.000 0.000
```

Calculated values
The value obtained for the formation energy from the elements is -1012 meV per atom. Its space group is P6_3/mcm.



Computed, not measured: an optimized crystal structure of Nd3ZrSb5 at the PBE-GGA level of DFT.

The structure in POSCAR format:
```
Nd3ZrSb5
1.0
4.754 -8.235 0.000
4.754 8.235 0.000
0.000 0.000 6.369
Nd Sb Zr
6 10 2
Direct
0.618 0.618 0.750
0.382 0.000 0.750
0.000 0.618 0.250
0.618 0.000 0.250
0.382 0.382 0.250
0.000 0.382 0.750
0.667 0.333 0.500
0.333 0.667 0.500
0.667 0.333 0.000
0.000 0.264 0.250
0.333 0.667 0.000
0.000 0.736 0.750
0.736 0.000 0.750
0.264 0.000 0.250
0.264 0.264 0.750
0.736 0.736 0.250
0.000 0.000 0.000
0.000 0.000 0.500
```

Calculated values
The value obtained for the formation energy from the elements is -1067 meV per atom. Its space group is P6_3/mcm.



Computed, not measured: an optimized crystal structure of NdSc3 at the PBE-GGA level of DFT.

The structure in POSCAR format:
```
NdSc3
1.0
-4.422 3.760 -3.614
-0.467 -0.214 6.818
3.308 4.235 0.359
Nd Sc
2 6
Direct
0.667 0.333 0.250
0.333 0.667 0.750
0.324 0.162 0.750
0.162 0.324 0.250
0.838 0.676 0.750
0.676 0.838 0.250
0.838 0.162 0.750
0.162 0.838 0.250
```

Calculated values
The value obtained for the formation energy from the elements is 43 meV per atom. Its space group is P6_3/mmc.



Computed, not measured: an optimized crystal structure of Nd10Se19 at the PBE-GGA level of DFT.

The structure in POSCAR format:
```
Nd10Se19
1.0
-5.313 -4.474 4.634
5.530 1.329 7.626
-9.265 15.645 4.492
Nd Se
20 38
Direct
0.386 0.143 0.096
0.120 0.074 0.704
0.870 0.528 0.694
0.621 0.463 0.303
0.122 0.872 0.907
0.130 0.472 0.306
0.880 0.926 0.296
0.131 0.271 0.506
0.869 0.325 0.894
0.878 0.128 0.093
0.869 0.729 0.494
0.632 0.270 0.500
0.369 0.336 0.891
0.131 0.675 0.106
0.379 0.537 0.697
0.368 0.730 0.500
0.613 0.059 0.700
0.614 0.857 0.904
0.387 0.941 0.300
0.631 0.664 0.109
0.131 0.756 0.378
0.120 0.555 0.579
0.880 0.445 0.421
0.359 0.252 0.250
0.375 0.247 0.623
0.375 0.849 0.026
0.102 0.554 0.945
0.623 0.351 0.776
0.899 0.056 0.446
0.876 0.647 0.851
0.369 0.043 0.822
0.625 0.151 0.974
0.338 0.843 0.658
0.612 0.960 0.540
0.377 0.649 0.224
0.388 0.040 0.460
0.631 0.957 0.178
0.872 0.841 0.024
0.128 0.159 0.976
0.662 0.157 0.342
0.340 0.659 0.842
0.625 0.753 0.377
0.898 0.446 0.055
0.869 0.244 0.622
0.376 0.444 0.425
0.641 0.748 0.750
0.612 0.540 0.960
0.101 0.944 0.554
0.388 0.460 0.040
0.125 0.150 0.351
0.624 0.556 0.575
0.875 0.037 0.822
0.660 0.341 0.158
0.880 0.639 0.226
0.124 0.353 0.149
0.125 0.963 0.178
0.875 0.850 0.649
0.120 0.361 0.774
```

Calculated values
The value obtained for the formation energy from the elements is -1971 meV per atom. The total magnetization comes out at 0.0 μB/cell. Its space group is P-1.



Computed, not measured: an optimized crystal structure of NdSe at the PBE-GGA level of DFT.

The structure in POSCAR format:
```
NdSe
1.0
0.000 2.992 2.992
2.992 0.000 2.992
2.992 2.992 0.000
Nd Se
1 1
Direct
0.000 0.000 0.000
0.500 0.500 0.500
```

Calculated values
The value obtained for the formation energy from the elements is -2066 meV per atom. Its space group is Fm-3m.



Computed, not measured: an optimized crystal structure of Nd10Se19 at the PBE-GGA level of DFT.

The structure in POSCAR format:
```
Nd10Se19
1.0
-8.392 2.611 3.156
-2.905 -8.866 -0.390
5.278 -2.435 16.050
Se Nd
38 20
Direct
0.802 0.899 0.187
0.500 0.500 0.000
0.500 0.000 0.314
0.098 0.799 0.321
0.799 0.902 0.679
0.299 0.402 0.821
0.598 0.299 0.179
0.815 0.369 0.001
0.577 0.780 0.500
0.000 0.500 0.186
0.500 0.000 0.814
0.369 0.185 0.999
0.902 0.201 0.321
0.201 0.098 0.679
0.423 0.220 0.500
0.402 0.701 0.179
0.302 0.399 0.313
0.185 0.631 0.001
0.198 0.101 0.187
0.698 0.601 0.313
0.131 0.315 0.501
0.000 0.500 0.686
0.601 0.302 0.687
0.720 0.077 0.000
0.899 0.198 0.813
0.000 0.000 0.500
0.077 0.280 0.000
0.399 0.698 0.687
0.280 0.923 0.000
0.220 0.577 0.500
0.701 0.598 0.821
0.101 0.802 0.813
0.869 0.685 0.501
0.315 0.869 0.499
0.631 0.815 0.999
0.780 0.423 0.500
0.685 0.131 0.499
0.923 0.720 0.000
0.803 0.898 0.856
0.197 0.102 0.856
0.903 0.206 0.630
0.000 0.500 0.867
0.102 0.803 0.144
0.294 0.403 0.130
0.898 0.197 0.144
0.303 0.398 0.644
0.500 0.000 0.633
0.403 0.706 0.870
0.794 0.903 0.370
0.398 0.697 0.356
0.706 0.597 0.130
0.602 0.303 0.356
0.500 0.000 0.133
0.697 0.602 0.644
0.597 0.294 0.870
0.097 0.794 0.630
0.000 0.500 0.367
0.206 0.097 0.370
```

Calculated values
The value obtained for the formation energy from the elements is -1989 meV per atom. Its space group is P4_2/n.



Computed, not measured: an optimized crystal structure of Nd2USe4 at the PBE-GGA level of DFT.

The structure in POSCAR format:
```
Nd2USe4
1.0
-4.457 4.457 4.419
4.457 -4.457 4.419
4.457 4.457 -4.419
Se Nd U
8 4 2
Direct
0.371 0.119 0.899
0.879 0.278 0.248
0.369 0.121 0.399
0.528 0.629 0.748
0.881 0.779 0.252
0.722 0.971 0.601
0.221 0.472 0.101
0.029 0.631 0.752
0.125 0.252 0.627
0.748 0.375 0.873
0.502 0.875 0.127
0.625 0.498 0.373
0.250 0.750 0.500
0.000 0.000 0.000
```

Calculated values
The value obtained for the formation energy from the elements is -1849 meV per atom. The total magnetization comes out at 7.8 μB/cell. Its space group is I-42d.



no.,calculated total energy (eV per cell)
1,-31.15
2,-101.99
3,-104.29
4,-47.19
5,-324.59
6,-11.92
7,-325.64
8,-91.74